# Li4Ti2Nb3Ni3O16

A relaxed Li4Ti2Nb3Ni3O16 crystal (GGA+U, the Materials Project).

Properties
Energy: -7.27 eV/atom
ΔE_f: -2.573 eV per atom
Spin magnetization: 3.995 μB per formula unit

The structure in POSCAR format:
```
Li4Ti2Nb3Ni3O16
1.0
5.413 -1.629 1.957
2.606 9.415 0.627
-3.538 0.142 9.903
Li Ti Nb Ni O
8 4 6 6 32
Direct
0.500 0.895 0.166
0.000 0.895 0.666
0.500 0.984 0.485
0.000 0.984 0.985
0.500 0.501 0.492
0.000 0.501 0.992
0.000 0.405 0.335
0.500 0.405 0.835
0.500 0.508 0.170
0.000 0.508 0.670
0.000 0.982 0.358
0.500 0.982 0.858
0.000 0.728 0.178
0.500 0.728 0.678
0.749 0.218 0.091
0.249 0.218 0.591
0.251 0.218 0.091
0.751 0.218 0.591
0.245 0.708 0.415
0.745 0.708 0.915
0.755 0.708 0.415
0.255 0.708 0.915
0.000 0.208 0.830
0.500 0.208 0.330
0.500 0.342 0.014
0.000 0.342 0.514
0.500 0.095 0.164
0.000 0.095 0.664
0.500 0.314 0.494
0.000 0.314 0.994
0.000 0.800 0.004
0.500 0.800 0.504
0.000 0.095 0.165
0.500 0.095 0.665
0.500 0.590 0.327
0.000 0.590 0.827
0.000 0.602 0.323
0.500 0.602 0.823
0.000 0.851 0.479
0.500 0.851 0.979
0.746 0.594 0.091
0.246 0.594 0.591
0.254 0.594 0.091
0.754 0.594 0.591
0.726 0.342 0.234
0.226 0.342 0.734
0.274 0.342 0.234
0.774 0.342 0.734
0.221 0.849 0.256
0.721 0.849 0.756
0.779 0.849 0.256
0.279 0.849 0.756
0.244 0.094 0.421
0.744 0.094 0.921
0.756 0.094 0.421
0.256 0.094 0.921
```



# NiSnH12O6F6

A relaxed NiSnH12O6F6 crystal (GGA+U, the Materials Project).

Properties
Energy: -4.88 eV/atom
Space group: P-1
ΔE_f: -1.718 eV per atom
Spin magnetization: 2.000 μB per formula unit

The structure in POSCAR format:
```
NiSnH12O6F6
1.0
6.589 0.000 0.000
1.461 13.099 0.000
2.184 4.923 12.997
Ni Sn H O F
4 4 48 24 24
Direct
0.000 0.125 0.250
0.000 0.375 0.750
0.000 0.625 0.250
0.000 0.875 0.750
0.500 0.000 0.000
0.500 0.250 0.500
0.500 0.500 0.000
0.500 0.750 0.500
0.050 0.134 0.051
0.050 0.384 0.551
0.050 0.634 0.051
0.050 0.884 0.551
0.167 0.175 0.843
0.167 0.426 0.343
0.167 0.676 0.843
0.167 0.925 0.343
0.182 0.189 0.725
0.182 0.438 0.225
0.182 0.688 0.725
0.182 0.939 0.225
0.185 0.132 0.403
0.185 0.382 0.903
0.185 0.632 0.403
0.185 0.882 0.903
0.305 0.259 0.167
0.306 0.009 0.666
0.306 0.509 0.667
0.306 0.759 0.166
0.398 0.145 0.159
0.398 0.395 0.659
0.398 0.645 0.159
0.398 0.895 0.659
0.602 0.105 0.341
0.602 0.355 0.841
0.602 0.605 0.341
0.602 0.855 0.841
0.694 0.241 0.834
0.694 0.491 0.333
0.694 0.991 0.334
0.695 0.741 0.833
0.815 0.118 0.097
0.815 0.368 0.597
0.815 0.618 0.097
0.815 0.868 0.597
0.818 0.061 0.775
0.818 0.312 0.275
0.818 0.562 0.775
0.818 0.811 0.275
0.833 0.075 0.657
0.833 0.324 0.157
0.833 0.574 0.657
0.833 0.825 0.157
0.950 0.116 0.449
0.950 0.366 0.949
0.950 0.616 0.449
0.950 0.866 0.949
0.057 0.104 0.397
0.057 0.604 0.397
0.057 0.854 0.897
0.058 0.354 0.897
0.105 0.213 0.779
0.105 0.464 0.279
0.105 0.714 0.779
0.105 0.963 0.279
0.294 0.180 0.198
0.294 0.430 0.698
0.294 0.680 0.198
0.294 0.930 0.698
0.706 0.070 0.302
0.706 0.320 0.802
0.706 0.570 0.302
0.706 0.820 0.802
0.895 0.037 0.721
0.895 0.286 0.221
0.895 0.536 0.721
0.895 0.787 0.221
0.942 0.646 0.103
0.943 0.146 0.103
0.943 0.396 0.603
0.943 0.896 0.603
0.249 0.101 0.965
0.249 0.351 0.464
0.249 0.601 0.964
0.249 0.851 0.465
0.334 0.152 0.625
0.334 0.402 0.125
0.334 0.652 0.626
0.334 0.902 0.125
0.429 0.166 0.417
0.429 0.416 0.917
0.429 0.666 0.417
0.429 0.916 0.917
0.571 0.084 0.083
0.571 0.334 0.583
0.571 0.584 0.083
0.571 0.834 0.583
0.666 0.098 0.875
0.666 0.348 0.374
0.666 0.598 0.875
0.666 0.848 0.375
0.751 0.149 0.535
0.751 0.399 0.036
0.751 0.649 0.536
0.751 0.899 0.035
```



# Li3Mn2P3O12

A relaxed Li3Mn2P3O12 crystal (GGA+U, the Materials Project).

Properties
Energy relative to the lowest polymorph listed for this composition: 35 meV per atom
Energy: -6.93 eV/atom
Space group: R-3
ΔE_f: -2.529 eV per atom
Spin magnetization: 8.000 μB per formula unit

The structure in POSCAR format:
```
Li3Mn2P3O12
1.0
4.250 2.454 7.615
-4.250 2.454 7.615
0.000 -4.907 7.615
Li Mn P O
6 4 6 24
Direct
0.162 0.422 0.764
0.236 0.838 0.578
0.422 0.764 0.162
0.578 0.236 0.838
0.764 0.162 0.422
0.838 0.578 0.236
0.153 0.153 0.153
0.354 0.354 0.354
0.646 0.646 0.646
0.847 0.847 0.847
0.041 0.753 0.456
0.247 0.544 0.959
0.456 0.041 0.753
0.544 0.959 0.247
0.753 0.456 0.041
0.959 0.247 0.544
0.005 0.968 0.333
0.032 0.667 0.995
0.042 0.709 0.653
0.111 0.299 0.512
0.247 0.628 0.363
0.291 0.347 0.958
0.299 0.512 0.111
0.333 0.005 0.968
0.347 0.958 0.291
0.363 0.247 0.628
0.372 0.637 0.753
0.488 0.889 0.701
0.512 0.111 0.299
0.628 0.363 0.247
0.637 0.753 0.372
0.653 0.042 0.709
0.667 0.995 0.032
0.701 0.488 0.889
0.709 0.653 0.042
0.753 0.372 0.637
0.889 0.701 0.488
0.958 0.291 0.347
0.968 0.333 0.005
0.995 0.032 0.667
```



# VAg2HgO4

A relaxed VAg2HgO4 crystal (GGA+U, the Materials Project).

Properties
Energy: -5.05 eV/atom
Space group: I-42d
ΔE_f: -1.249 eV per atom
Spin magnetization: 0.000 μB per formula unit

The structure in POSCAR format:
```
VAg2HgO4
1.0
-6.491 6.491 6.364
6.491 -6.491 6.364
6.491 6.491 -6.364
V Ag Hg O
8 16 8 32
Direct
0.126 0.585 0.748
0.128 0.087 0.752
0.335 0.376 0.248
0.415 0.163 0.541
0.622 0.874 0.459
0.624 0.872 0.959
0.837 0.378 0.252
0.913 0.665 0.041
0.025 0.969 0.370
0.031 0.401 0.056
0.101 0.760 0.533
0.151 0.281 0.556
0.226 0.568 0.467
0.240 0.774 0.341
0.318 0.476 0.967
0.345 0.975 0.944
0.405 0.849 0.130
0.432 0.899 0.659
0.510 0.351 0.033
0.524 0.490 0.841
0.599 0.655 0.630
0.649 0.682 0.159
0.719 0.275 0.870
0.725 0.595 0.444
0.018 0.154 0.245
0.226 0.982 0.136
0.524 0.160 0.255
0.732 0.476 0.636
0.840 0.096 0.364
0.846 0.090 0.864
0.904 0.268 0.745
0.910 0.774 0.755
0.008 0.008 0.813
0.043 0.623 0.120
0.077 0.957 0.580
0.118 0.239 0.745
0.122 0.743 0.755
0.184 0.517 0.629
0.195 0.195 0.187
0.247 0.627 0.920
0.257 0.011 0.379
0.267 0.434 0.129
0.306 0.138 0.871
0.373 0.293 0.620
0.377 0.497 0.420
0.444 0.816 0.332
0.483 0.112 0.668
0.493 0.372 0.255
0.503 0.923 0.880
0.555 0.242 0.501
0.566 0.694 0.832
0.628 0.882 0.121
0.632 0.878 0.621
0.673 0.753 0.380
0.707 0.327 0.080
0.742 0.055 0.499
0.758 0.258 0.313
0.761 0.507 0.879
0.805 0.992 0.999
0.862 0.733 0.168
0.888 0.556 0.371
0.945 0.445 0.687
0.989 0.368 0.245
0.992 0.805 0.001
```